Computed, not measured: a geometry-optimized Li2MnO2F structure at the PBE with a Hubbard U level of DFT.

Summary:
energy above the most stable polymorph in this dataset: 0.0179 eV/atom
formation energy: -2.470 eV/atom
theoretical density: 3.57 g cm⁻³

a = 2.946 Å, b = 3.049 Å, c = 14.529 Å
α = 89.92°, β = 88.08°, γ = 58.82°
Element x y z (fractional)
O 0.009 0.060 0.242
O 0.359 0.268 0.581
O 0.304 0.298 0.086
O 0.656 0.734 0.424
Mn 0.007 0.001 0.503
Mn 0.657 0.678 0.164
F 0.007 0.983 0.753
F 0.663 0.655 0.913
Li 0.986 0.000 0.993
Li 0.332 0.348 0.334
Li 0.685 0.652 0.673
Li 0.336 0.325 0.833